# Mo3WSe4S4

An optimized crystal structure of Mo3WSe4S4 (PBE, the Materials Project database).

abc: 3.2567 3.2567 36.8689
angles: 90.00 90.00 120.00
Closest atoms and distances in Å follow each position.
Atoms (fractional coordinates):
Mo (0.0000, 0.0000, 0.0000)  6 Se 2.53
Mo (0.0000, 0.0000, 0.3757)  6 S 2.43
Mo (0.3333, 0.6667, 0.1879)  6 S 2.43
W (0.3333, 0.6667, 0.5636)  6 Se 2.54
Se (0.0000, 0.0000, 0.5173)  3 W 2.54
Se (0.0000, 0.0000, 0.6100)  3 W 2.54
Se (0.3333, 0.6667, 0.0461)  3 Mo 2.53
Se (0.3333, 0.6667, 0.9540)  3 Mo 2.53
S (0.0000, 0.0000, 0.1461)  3 Mo 2.43
S (0.0000, 0.0000, 0.2298)  3 Mo 2.43
S (0.3333, 0.6667, 0.3339)  3 Mo 2.43
S (0.3333, 0.6667, 0.4176)  3 Mo 2.43

Results
**Formation energy from the elements**: -10.737 eV/f.u.
**SG**: P3m1, No. 156
**E above lowest polymorph**: 0.017 eV per atom
**Total energy**: -0.51908 Ry/atom